Compound: LiP3W2O13
Source: Materials Project
Functional: GGA+U
Structure: optimized geometry

The magnetic moment comes out at 0.105 μB/atom. The value obtained for the relative energy among the computed polymorphs is 0 meV per atom.

Lattice parameters (Å, degrees): 9.5989 19.2938 6.5094 90.00 106.75 90.00
Sites, in units of the cell vectors:
Li  0.1197  0.2239  0.4150
Li  0.1197  0.2761  0.9150
Li  0.8803  0.7239  0.0850
Li  0.8803  0.7761  0.5850
P  0.2009  0.0299  0.9889
P  0.2009  0.4701  0.4889
P  0.2030  0.5948  0.2320
P  0.2030  0.9052  0.7320
P  0.4758  0.6739  0.8439
P  0.4758  0.8261  0.3439
P  0.5242  0.1739  0.6561
P  0.5242  0.3261  0.1561
P  0.7970  0.0948  0.2680
P  0.7970  0.4052  0.7680
P  0.7991  0.5299  0.5111
P  0.7991  0.9701  0.0111
W  0.1139  0.6264  0.6866
W  0.1139  0.8736  0.1866
W  0.4308  0.1615  0.1182
W  0.4308  0.3385  0.6182
W  0.5692  0.6615  0.3818
W  0.5692  0.8385  0.8818
W  0.8861  0.1264  0.8134
W  0.8861  0.3736  0.3134
O  0.0490  0.7130  0.6769
O  0.0490  0.7870  0.1769
O  0.0939  0.0890  0.9079
O  0.0939  0.4110  0.4079
O  0.1160  0.6037  0.9959
O  0.1160  0.8963  0.4959
O  0.1168  0.6309  0.3674
O  0.1168  0.8691  0.8674
O  0.1602  0.5199  0.6432
O  0.1602  0.9801  0.1432
O  0.2012  0.5127  0.2751
O  0.2012  0.9873  0.7751
O  0.2701  0.2133  0.0529
O  0.2701  0.2867  0.5529
O  0.3311  0.6341  0.7894
O  0.3311  0.8659  0.2894
O  0.3521  0.0612  0.0848
O  0.3521  0.4388  0.5848
O  0.3621  0.6154  0.2859
O  0.3621  0.8846  0.7859
O  0.4287  0.1529  0.4307
O  0.4287  0.3471  0.9307
O  0.4360  0.1518  0.8092
O  0.4360  0.3482  0.3092
O  0.4385  0.7481  0.3275
O  0.4385  0.7519  0.8275
O  0.5615  0.2481  0.1725
O  0.5615  0.2519  0.6725
O  0.5640  0.6518  0.6908
O  0.5640  0.8482  0.1908
O  0.5713  0.6529  0.0693
O  0.5713  0.8471  0.5693
O  0.6379  0.1154  0.2141
O  0.6379  0.3846  0.7141
O  0.6479  0.5612  0.4152
O  0.6479  0.9388  0.9152
O  0.6689  0.1341  0.7106
O  0.6689  0.3659  0.2106
O  0.7299  0.7133  0.4471
O  0.7299  0.7867  0.9471
O  0.7988  0.0127  0.2249
O  0.7988  0.4873  0.7249
O  0.8398  0.0199  0.8568
O  0.8398  0.4801  0.3568
O  0.8832  0.1309  0.1326
O  0.8832  0.3691  0.6326
O  0.8840  0.1037  0.5041
O  0.8840  0.3963  0.0041
O  0.9061  0.5890  0.5921
O  0.9061  0.9110  0.0921
O  0.9510  0.2130  0.8231
O  0.9510  0.2870  0.3231